# 1
{"formula": "ZrSiO4", "functional": "GGA-PBE", "state": "optimized geometry", "ef_ev_per_atom": -3.479, "m_tot_mub_per_cell": 0.000, "space_group": "I4_1/a, No. 88", "lattice": [[2.113, -5.943, -0.269], [-3.391, -4.205, 3.267], [-1.289, 4.512, -4.224]], "species": ["O", "Si", "O", "Zr", "Si", "O", "O", "O", "O", "O", "Zr", "O"], "frac_coords": [[0.235, 0.336, 0.416], [0.000, 0.000, 0.000], [0.569, 0.485, 0.399], [0.500, 0.500, 0.000], [0.750, 0.250, 0.500], [0.086, 0.170, 0.601], [0.515, 0.914, 0.084], [0.830, 0.431, 0.916], [0.664, 0.080, 0.899], [0.920, 0.819, 0.584], [0.250, 0.750, 0.500], [0.181, 0.765, 0.101]]}

=====

# 2
{"formula": "Li2MnBr4", "functional": "GGA-PBE", "state": "optimized geometry", "ef_ev_per_atom": -1.486, "m_tot_mub_per_cell": 9.999, "de_polymorph_mev_per_atom": 49, "space_group": "Imma, No. 74", "lattice": [[-3.977, 3.991, 5.286], [3.977, -3.991, 5.286], [3.977, 3.991, -5.286]], "species": ["Br", "Br", "Li", "Br", "Br", "Mn", "Mn", "Li", "Br", "Li", "Br", "Br", "Br", "Li"], "frac_coords": [[0.245, 0.734, 0.989], [0.755, 0.266, 0.011], [0.000, 0.500, 0.500], [0.758, 0.752, 0.006], [0.242, 0.248, 0.994], [0.000, 0.000, 0.500], [0.000, 0.500, 0.000], [0.500, 0.500, 0.500], [0.247, 0.752, 0.494], [0.500, 0.500, 0.000], [0.753, 0.248, 0.506], [0.245, 0.256, 0.511], [0.755, 0.744, 0.489], [0.500, 0.000, 0.000]]}

=====

# 3
{"formula": "Ba3SmInS6", "functional": "GGA-PBE", "state": "optimized geometry", "ef_ev_per_atom": -2.051, "m_tot_mub_per_cell": 0.002, "space_group": "R-3c, No. 167", "lattice": [[-7.980, -0.196, -2.913], [-1.641, -5.793, 5.996], [-1.670, 6.468, 5.252]], "species": ["S", "Ba", "S", "Ba", "Ba", "S", "S", "Sm", "S", "In", "S", "Sm", "S", "In", "S", "S", "S", "Ba", "Ba", "S", "Ba", "S"], "frac_coords": [[0.589, 0.800, 0.459], [0.250, 0.870, 0.630], [0.089, 0.959, 0.300], [0.370, 0.750, 0.130], [0.630, 0.250, 0.870], [0.200, 0.541, 0.411], [0.459, 0.589, 0.800], [0.250, 0.250, 0.250], [0.959, 0.300, 0.089], [0.000, 0.000, 0.000], [0.041, 0.700, 0.911], [0.750, 0.750, 0.750], [0.300, 0.089, 0.959], [0.500, 0.500, 0.500], [0.800, 0.459, 0.589], [0.911, 0.041, 0.700], [0.541, 0.411, 0.200], [0.130, 0.370, 0.750], [0.750, 0.130, 0.370], [0.700, 0.911, 0.041], [0.870, 0.630, 0.250], [0.411, 0.200, 0.541]]}

=====

# 4
{"formula": "Ti2ZnSn2O7", "functional": "GGA-PBE", "state": "optimized geometry", "ef_ev_per_atom": -2.523, "m_tot_mub_per_cell": 0.001, "space_group": "C2/c, No. 15", "lattice": [[-4.557, 5.090, -0.942], [-4.388, -4.979, 1.879], [-2.412, 2.376, 8.626]], "species": ["O", "O", "Ti", "O", "O", "Ti", "O", "O", "Sn", "O", "Ti", "Zn", "O", "O", "O", "Sn", "O", "O", "O", "Sn", "Zn", "O", "Ti", "Sn"], "frac_coords": [[0.004, 0.768, 0.599], [0.961, 0.673, 0.294], [0.402, 0.826, 0.873], [0.317, 0.574, 0.440], [0.327, 0.039, 0.206], [0.598, 0.174, 0.127], [0.996, 0.232, 0.401], [0.665, 0.335, 0.250], [0.216, 0.224, 0.016], [0.683, 0.426, 0.560], [0.174, 0.598, 0.627], [0.266, 0.734, 0.250], [0.039, 0.327, 0.706], [0.574, 0.317, 0.940], [0.768, 0.004, 0.099], [0.776, 0.784, 0.484], [0.673, 0.961, 0.794], [0.335, 0.665, 0.750], [0.232, 0.996, 0.901], [0.784, 0.776, 0.984], [0.734, 0.266, 0.750], [0.426, 0.683, 0.060], [0.826, 0.402, 0.373], [0.224, 0.216, 0.516]]}

=====

# 5
{"formula": "NbSnRu2", "functional": "GGA-PBE", "state": "optimized geometry", "ef_ev_per_atom": -0.223, "space_group": "Fm-3m, No. 225", "lattice": [[0.000, 3.203, 3.203], [3.203, 0.000, 3.203], [3.203, 3.203, 0.000]], "species": ["Nb", "Ru", "Sn", "Ru"], "frac_coords": [[0.500, 0.500, 0.500], [0.750, 0.750, 0.750], [0.000, 0.000, 0.000], [0.250, 0.250, 0.250]]}

=====

# 6
{"formula": "SrTa2Bi2O9", "functional": "GGA-PBE", "state": "optimized geometry", "ef_ev_per_atom": -2.839, "m_tot_mub_per_cell": 0.000, "de_polymorph_mev_per_atom": 0, "space_group": "Cmc2_1, No. 36", "lattice": [[2.801, -12.760, 0.000], [2.801, 12.760, 0.000], [0.000, 0.000, 5.614]], "species": ["Sr", "O", "Sr", "O", "Bi", "O", "Bi", "O", "O", "Bi", "O", "O", "O", "Ta", "O", "Ta", "O", "Bi", "O", "O", "O", "O", "Ta", "O", "O", "O", "Ta", "O"], "frac_coords": [[0.251, 0.251, 0.017], [0.731, 0.233, 0.712], [0.749, 0.749, 0.517], [0.923, 0.055, 0.773], [0.985, 0.585, 0.427], [0.600, 0.430, 0.296], [0.415, 0.015, 0.927], [0.055, 0.923, 0.773], [0.400, 0.570, 0.796], [0.585, 0.985, 0.427], [0.945, 0.077, 0.273], [0.077, 0.945, 0.273], [0.672, 0.982, 0.042], [0.835, 0.670, 0.022], [0.299, 0.299, 0.538], [0.670, 0.835, 0.022], [0.018, 0.328, 0.542], [0.015, 0.415, 0.927], [0.430, 0.600, 0.296], [0.328, 0.018, 0.542], [0.269, 0.767, 0.212], [0.767, 0.269, 0.212], [0.330, 0.165, 0.522], [0.701, 0.701, 0.038], [0.233, 0.731, 0.712], [0.982, 0.672, 0.042], [0.165, 0.330, 0.522], [0.570, 0.400, 0.796]]}